[1]
Below is a relaxed structure of LiVPHO5, with properties calculated at the GGA+U level.

Calculated total energy ... -0.252 Ha/atom
Distance to the lowest polymorph of the same formula ... 0 meV per atom
Magnetic moment ... 1.00 μB/f.u.

Cell and atoms, written as POSCAR:
```
LiVPHO5
1.0
5.172 0.000 0.000
-2.065 7.233 0.000
-1.576 -2.815 9.856
Li V P H O
4 4 4 4 20
Cartesian
-0.208 2.503 0.353
0.971 -0.299 4.577
0.560 4.717 5.279
1.739 1.915 9.503
-1.820 2.209 4.928
-0.648 4.722 2.465
2.586 0.000 0.000
2.179 -0.304 7.391
-2.389 4.973 6.755
-0.494 1.656 8.027
2.025 2.762 1.829
3.920 -0.555 3.101
-1.687 6.557 1.065
0.382 2.881 3.858
1.149 1.537 5.998
3.218 -2.139 8.791
-2.194 5.634 3.349
-0.868 0.628 4.017
-1.856 1.032 8.485
-2.350 4.581 8.248
-0.874 6.021 0.868
-0.424 3.424 4.065
-0.531 2.045 6.531
1.041 -1.637 6.301
1.641 1.571 0.915
0.898 3.800 1.581
0.633 0.618 8.275
-0.110 2.847 8.941
0.489 6.055 3.555
2.062 2.373 3.325
1.955 0.995 5.791
2.405 -1.603 8.988
3.881 -0.162 1.608
3.386 3.386 1.371
2.398 3.790 5.839
3.725 -1.216 6.507
```

[2]
Below is a relaxed structure of Li3MnV3O8, with properties calculated at the GGA+U level.

Calculated total energy ... -0.257 Ha/atom
Distance to the lowest polymorph of the same formula ... 12 meV per atom
Magnetic moment ... 9.00 μB/f.u.

Cell and atoms, written as POSCAR:
```
Li3MnV3O8
1.0
5.962 0.000 0.000
-2.968 5.173 0.000
-2.947 -1.743 9.771
Li Mn V O
6 2 6 16
Cartesian
0.000 0.000 0.000
-2.946 -0.010 7.342
-2.921 3.425 2.428
-2.926 1.724 4.884
1.532 2.563 0.007
1.543 -0.862 4.883
-1.448 2.571 7.332
1.545 0.849 2.440
-4.427 2.571 7.327
-1.439 0.845 2.454
-2.924 3.403 9.770
0.030 -0.010 7.312
0.049 1.714 4.887
0.061 3.428 2.454
-1.354 -0.951 8.512
-1.329 2.532 3.634
-2.864 1.833 8.430
0.125 1.623 1.378
-2.845 3.392 6.261
0.149 0.138 3.600
-1.384 0.993 6.204
-1.351 4.406 1.361
1.441 -1.015 8.452
1.471 2.454 3.527
-0.048 1.753 8.390
-0.036 3.294 6.208
2.949 1.563 1.306
2.955 0.067 3.517
1.433 4.345 1.260
1.440 0.921 6.139
```

[3]
Below is a relaxed structure of CaLaCrWO6, with properties calculated at the GGA+U level.

Calculated total energy ... -0.285 Ha/atom
Magnetic moment ... 1.00 μB/f.u.

Cell and atoms, written as POSCAR:
```
CaLaCrWO6
1.0
5.578 0.000 0.000
0.000 5.707 0.000
-5.470 0.000 7.886
Ca La Cr W O
2 2 2 2 12
Cartesian
0.000 1.145 0.000
-2.735 4.562 3.943
-0.107 1.672 3.909
-2.842 4.035 7.852
-2.795 1.425 5.905
-0.060 4.282 1.962
2.731 1.424 1.953
-0.004 4.283 5.896
-1.169 0.193 2.361
-3.904 5.515 6.304
1.029 2.639 1.544
-1.706 3.068 5.487
-1.175 0.232 5.544
1.560 5.476 1.601
-2.239 1.562 7.854
0.496 4.146 3.911
2.271 1.267 3.948
5.006 4.440 0.005
1.139 2.602 6.275
3.874 3.105 2.332
```

Number 1: ΔE_f -2491 meV/atom. Number 2: ΔE_f -2371 meV/atom. Number 3: ΔE_f -2892 meV/atom.